# 1
{"formula": "VZnSi2O6", "functional": "PBE+U", "state": "relaxed", "energy_ev_per_atom": -7.2434, "formation_energy_ev_per_atom": -2.7374, "rho_g_cm3": 3.8, "cell": [[-4.937, 2.026, 0.768], [3.459, -0.100, 8.837], [3.370, 8.673, -1.221]], "species": ["V", "V", "V", "V", "Zn", "Zn", "Zn", "Zn", "Si", "Si", "Si", "Si", "Si", "Si", "Si", "Si", "O", "O", "O", "O", "O", "O", "O", "O", "O", "O", "O", "O", "O", "O", "O", "O", "O", "O", "O", "O", "O", "O", "O", "O"], "fractional_positions": [[0.250, 0.000, 0.904], [0.250, 0.500, 0.596], [0.750, 0.500, 0.404], [0.750, 0.000, 0.096], [0.250, 0.500, 0.260], [0.750, 0.000, 0.760], [0.750, 0.500, 0.740], [0.250, 0.000, 0.240], [0.526, 0.305, 0.084], [0.026, 0.805, 0.584], [0.974, 0.695, 0.084], [0.474, 0.195, 0.584], [0.026, 0.305, 0.916], [0.526, 0.805, 0.416], [0.474, 0.695, 0.916], [0.974, 0.195, 0.416], [0.818, 0.356, 0.024], [0.318, 0.856, 0.524], [0.682, 0.644, 0.024], [0.182, 0.144, 0.524], [0.182, 0.644, 0.976], [0.682, 0.144, 0.476], [0.318, 0.356, 0.976], [0.818, 0.856, 0.476], [0.505, 0.383, 0.237], [0.005, 0.883, 0.737], [0.995, 0.617, 0.237], [0.495, 0.117, 0.737], [0.495, 0.617, 0.763], [0.995, 0.117, 0.263], [0.005, 0.383, 0.763], [0.505, 0.883, 0.263], [0.963, 0.127, 0.914], [0.463, 0.627, 0.414], [0.537, 0.873, 0.914], [0.037, 0.373, 0.414], [0.463, 0.127, 0.086], [0.963, 0.627, 0.586], [0.037, 0.873, 0.086], [0.537, 0.373, 0.586]]}

# 2
{"formula": "SiWO4", "functional": "PBE+U", "state": "relaxed", "energy_ev_per_atom": -7.5473, "formation_energy_ev_per_atom": -2.3824, "space_group": "Ia-3d (230)", "rho_g_cm3": 7.1, "cell": [[-5.788, 5.788, 5.788], [5.788, -5.788, 5.788], [5.788, 5.788, -5.788]], "species": ["Si", "Si", "Si", "Si", "Si", "Si", "Si", "Si", "Si", "Si", "Si", "Si", "W", "W", "W", "W", "W", "W", "W", "W", "W", "W", "W", "W", "O", "O", "O", "O", "O", "O", "O", "O", "O", "O", "O", "O", "O", "O", "O", "O", "O", "O", "O", "O", "O", "O", "O", "O", "O", "O", "O", "O", "O", "O", "O", "O", "O", "O", "O", "O", "O", "O", "O", "O", "O", "O", "O", "O", "O", "O", "O", "O"], "fractional_positions": [[0.125, 0.750, 0.875], [0.125, 0.875, 0.250], [0.250, 0.125, 0.875], [0.250, 0.625, 0.375], [0.375, 0.250, 0.625], [0.375, 0.625, 0.750], [0.625, 0.375, 0.250], [0.625, 0.750, 0.375], [0.750, 0.375, 0.625], [0.750, 0.875, 0.125], [0.875, 0.125, 0.750], [0.875, 0.250, 0.125], [0.125, 0.250, 0.375], [0.125, 0.375, 0.750], [0.250, 0.375, 0.125], [0.250, 0.875, 0.625], [0.375, 0.125, 0.250], [0.375, 0.750, 0.125], [0.625, 0.250, 0.875], [0.625, 0.875, 0.750], [0.750, 0.125, 0.375], [0.750, 0.625, 0.875], [0.875, 0.625, 0.250], [0.875, 0.750, 0.625], [0.031, 0.226, 0.130], [0.031, 0.306, 0.901], [0.095, 0.726, 0.694], [0.095, 0.870, 0.401], [0.099, 0.630, 0.405], [0.099, 0.969, 0.694], [0.130, 0.031, 0.226], [0.130, 0.599, 0.905], [0.194, 0.226, 0.595], [0.194, 0.469, 0.599], [0.226, 0.130, 0.031], [0.226, 0.595, 0.194], [0.274, 0.306, 0.905], [0.274, 0.469, 0.370], [0.306, 0.901, 0.031], [0.306, 0.905, 0.274], [0.370, 0.274, 0.469], [0.370, 0.595, 0.901], [0.401, 0.095, 0.870], [0.401, 0.806, 0.531], [0.405, 0.099, 0.630], [0.405, 0.806, 0.774], [0.469, 0.370, 0.274], [0.469, 0.599, 0.194], [0.531, 0.401, 0.806], [0.531, 0.630, 0.726], [0.595, 0.194, 0.226], [0.595, 0.901, 0.370], [0.599, 0.194, 0.469], [0.599, 0.905, 0.130], [0.630, 0.405, 0.099], [0.630, 0.726, 0.531], [0.694, 0.095, 0.726], [0.694, 0.099, 0.969], [0.726, 0.531, 0.630], [0.726, 0.694, 0.095], [0.774, 0.405, 0.806], [0.774, 0.870, 0.969], [0.806, 0.531, 0.401], [0.806, 0.774, 0.405], [0.870, 0.401, 0.095], [0.870, 0.969, 0.774], [0.901, 0.031, 0.306], [0.901, 0.370, 0.595], [0.905, 0.130, 0.599], [0.905, 0.274, 0.306], [0.969, 0.694, 0.099], [0.969, 0.774, 0.870]]}

# 3
{"formula": "Y2Si3W3O12", "functional": "PBE+U", "state": "relaxed", "energy_ev_per_atom": -7.6588, "formation_energy_ev_per_atom": -2.3638, "space_group": "Ia-3d (230)", "rho_g_cm3": 6.3, "cell": [[-6.412, 6.412, 6.412], [6.412, -6.412, 6.412], [6.412, 6.412, -6.412]], "species": ["Y", "Y", "Y", "Y", "Y", "Y", "Y", "Y", "Si", "Si", "Si", "Si", "Si", "Si", "Si", "Si", "Si", "Si", "Si", "Si", "W", "W", "W", "W", "W", "W", "W", "W", "W", "W", "W", "W", "O", "O", "O", "O", "O", "O", "O", "O", "O", "O", "O", "O", "O", "O", "O", "O", "O", "O", "O", "O", "O", "O", "O", "O", "O", "O", "O", "O", "O", "O", "O", "O", "O", "O", "O", "O", "O", "O", "O", "O", "O", "O", "O", "O", "O", "O", "O", "O"], "fractional_positions": [[0.000, 0.000, 0.000], [0.000, 0.000, 0.500], [0.000, 0.500, 0.000], [0.000, 0.500, 0.500], [0.500, 0.000, 0.000], [0.500, 0.000, 0.500], [0.500, 0.500, 0.000], [0.500, 0.500, 0.500], [0.125, 0.750, 0.875], [0.125, 0.875, 0.250], [0.250, 0.125, 0.875], [0.250, 0.625, 0.375], [0.375, 0.250, 0.625], [0.375, 0.625, 0.750], [0.625, 0.375, 0.250], [0.625, 0.750, 0.375], [0.750, 0.375, 0.625], [0.750, 0.875, 0.125], [0.875, 0.125, 0.750], [0.875, 0.250, 0.125], [0.125, 0.250, 0.375], [0.125, 0.375, 0.750], [0.250, 0.375, 0.125], [0.250, 0.875, 0.625], [0.375, 0.125, 0.250], [0.375, 0.750, 0.125], [0.625, 0.250, 0.875], [0.625, 0.875, 0.750], [0.750, 0.125, 0.375], [0.750, 0.625, 0.875], [0.875, 0.625, 0.250], [0.875, 0.750, 0.625], [0.008, 0.212, 0.128], [0.008, 0.297, 0.880], [0.083, 0.712, 0.703], [0.083, 0.872, 0.380], [0.120, 0.628, 0.417], [0.120, 0.992, 0.703], [0.128, 0.008, 0.212], [0.128, 0.620, 0.917], [0.203, 0.212, 0.583], [0.203, 0.492, 0.620], [0.212, 0.128, 0.008], [0.212, 0.583, 0.203], [0.288, 0.297, 0.917], [0.288, 0.492, 0.372], [0.297, 0.880, 0.008], [0.297, 0.917, 0.288], [0.372, 0.288, 0.492], [0.372, 0.583, 0.880], [0.380, 0.083, 0.872], [0.380, 0.797, 0.508], [0.417, 0.120, 0.628], [0.417, 0.797, 0.788], [0.492, 0.372, 0.288], [0.492, 0.620, 0.203], [0.508, 0.380, 0.797], [0.508, 0.628, 0.712], [0.583, 0.203, 0.212], [0.583, 0.880, 0.372], [0.620, 0.203, 0.492], [0.620, 0.917, 0.128], [0.628, 0.417, 0.120], [0.628, 0.712, 0.508], [0.703, 0.083, 0.712], [0.703, 0.120, 0.992], [0.712, 0.508, 0.628], [0.712, 0.703, 0.083], [0.788, 0.417, 0.797], [0.788, 0.872, 0.992], [0.797, 0.508, 0.380], [0.797, 0.788, 0.417], [0.872, 0.380, 0.083], [0.872, 0.992, 0.788], [0.880, 0.008, 0.297], [0.880, 0.372, 0.583], [0.917, 0.128, 0.620], [0.917, 0.288, 0.297], [0.992, 0.703, 0.120], [0.992, 0.788, 0.872]]}

# 4
{"formula": "Zn3Si3W2O12", "functional": "PBE+U", "state": "relaxed", "energy_ev_per_atom": -6.6642, "formation_energy_ev_per_atom": -2.2528, "space_group": "Ia-3d (230)", "rho_g_cm3": 6.2, "cell": [[-6.069, 6.069, 6.069], [6.069, -6.069, 6.069], [6.069, 6.069, -6.069]], "species": ["Zn", "Zn", "Zn", "Zn", "Zn", "Zn", "Zn", "Zn", "Zn", "Zn", "Zn", "Zn", "Si", "Si", "Si", "Si", "Si", "Si", "Si", "Si", "Si", "Si", "Si", "Si", "W", "W", "W", "W", "W", "W", "W", "W", "O", "O", "O", "O", "O", "O", "O", "O", "O", "O", "O", "O", "O", "O", "O", "O", "O", "O", "O", "O", "O", "O", "O", "O", "O", "O", "O", "O", "O", "O", "O", "O", "O", "O", "O", "O", "O", "O", "O", "O", "O", "O", "O", "O", "O", "O", "O", "O"], "fractional_positions": [[0.125, 0.250, 0.375], [0.125, 0.375, 0.750], [0.250, 0.375, 0.125], [0.250, 0.875, 0.625], [0.375, 0.125, 0.250], [0.375, 0.750, 0.125], [0.625, 0.250, 0.875], [0.625, 0.875, 0.750], [0.750, 0.125, 0.375], [0.750, 0.625, 0.875], [0.875, 0.625, 0.250], [0.875, 0.750, 0.625], [0.125, 0.750, 0.875], [0.125, 0.875, 0.250], [0.250, 0.125, 0.875], [0.250, 0.625, 0.375], [0.375, 0.250, 0.625], [0.375, 0.625, 0.750], [0.625, 0.375, 0.250], [0.625, 0.750, 0.375], [0.750, 0.375, 0.625], [0.750, 0.875, 0.125], [0.875, 0.125, 0.750], [0.875, 0.250, 0.125], [0.000, 0.000, 0.000], [0.000, 0.000, 0.500], [0.000, 0.500, 0.000], [0.000, 0.500, 0.500], [0.500, 0.000, 0.000], [0.500, 0.000, 0.500], [0.500, 0.500, 0.000], [0.500, 0.500, 0.500], [0.021, 0.219, 0.127], [0.021, 0.301, 0.894], [0.093, 0.719, 0.699], [0.093, 0.873, 0.394], [0.106, 0.627, 0.407], [0.106, 0.979, 0.699], [0.127, 0.021, 0.219], [0.127, 0.606, 0.907], [0.199, 0.219, 0.593], [0.199, 0.479, 0.606], [0.219, 0.127, 0.021], [0.219, 0.593, 0.199], [0.281, 0.301, 0.907], [0.281, 0.479, 0.373], [0.301, 0.894, 0.021], [0.301, 0.907, 0.281], [0.373, 0.281, 0.479], [0.373, 0.593, 0.894], [0.394, 0.093, 0.873], [0.394, 0.801, 0.521], [0.407, 0.106, 0.627], [0.407, 0.801, 0.781], [0.479, 0.373, 0.281], [0.479, 0.606, 0.199], [0.521, 0.394, 0.801], [0.521, 0.627, 0.719], [0.593, 0.199, 0.219], [0.593, 0.894, 0.373], [0.606, 0.199, 0.479], [0.606, 0.907, 0.127], [0.627, 0.407, 0.106], [0.627, 0.719, 0.521], [0.699, 0.093, 0.719], [0.699, 0.106, 0.979], [0.719, 0.521, 0.627], [0.719, 0.699, 0.093], [0.781, 0.407, 0.801], [0.781, 0.873, 0.979], [0.801, 0.521, 0.394], [0.801, 0.781, 0.407], [0.873, 0.394, 0.093], [0.873, 0.979, 0.781], [0.894, 0.021, 0.301], [0.894, 0.373, 0.593], [0.907, 0.127, 0.606], [0.907, 0.281, 0.301], [0.979, 0.699, 0.106], [0.979, 0.781, 0.873]]}

# 5
{"formula": "ZnSi2WO6", "functional": "PBE+U", "state": "relaxed", "energy_ev_per_atom": -6.8875, "formation_energy_ev_per_atom": -2.2679, "space_group": "Pbca (61)", "rho_g_cm3": 5.5, "cell": [[5.391, 0.000, 0.000], [0.000, 19.091, 0.000], [0.000, 0.000, 9.483]], "species": ["Zn", "Zn", "Zn", "Zn", "Zn", "Zn", "Zn", "Zn", "Si", "Si", "Si", "Si", "Si", "Si", "Si", "Si", "Si", "Si", "Si", "Si", "Si", "Si", "Si", "Si", "W", "W", "W", "W", "W", "W", "W", "W", "O", "O", "O", "O", "O", "O", "O", "O", "O", "O", "O", "O", "O", "O", "O", "O", "O", "O", "O", "O", "O", "O", "O", "O", "O", "O", "O", "O", "O", "O", "O", "O", "O", "O", "O", "O", "O", "O", "O", "O", "O", "O", "O", "O", "O", "O", "O", "O"], "fractional_positions": [[0.115, 0.127, 0.145], [0.115, 0.373, 0.645], [0.385, 0.627, 0.145], [0.385, 0.873, 0.645], [0.615, 0.127, 0.355], [0.615, 0.373, 0.855], [0.885, 0.627, 0.355], [0.885, 0.873, 0.855], [0.068, 0.730, 0.671], [0.068, 0.770, 0.171], [0.234, 0.018, 0.837], [0.234, 0.482, 0.337], [0.266, 0.518, 0.837], [0.266, 0.982, 0.337], [0.432, 0.230, 0.671], [0.432, 0.270, 0.171], [0.568, 0.730, 0.829], [0.568, 0.770, 0.329], [0.734, 0.018, 0.663], [0.734, 0.482, 0.163], [0.766, 0.518, 0.663], [0.766, 0.982, 0.163], [0.932, 0.230, 0.829], [0.932, 0.270, 0.329], [0.131, 0.125, 0.529], [0.131, 0.375, 0.029], [0.369, 0.625, 0.529], [0.369, 0.875, 0.029], [0.631, 0.125, 0.971], [0.631, 0.375, 0.471], [0.869, 0.625, 0.971], [0.869, 0.875, 0.471], [0.038, 0.541, 0.728], [0.038, 0.959, 0.228], [0.046, 0.694, 0.517], [0.046, 0.806, 0.017], [0.078, 0.686, 0.192], [0.078, 0.814, 0.692], [0.153, 0.196, 0.724], [0.153, 0.304, 0.224], [0.215, 0.563, 0.982], [0.215, 0.937, 0.482], [0.229, 0.568, 0.345], [0.229, 0.932, 0.845], [0.271, 0.068, 0.345], [0.271, 0.432, 0.845], [0.285, 0.063, 0.982], [0.285, 0.437, 0.482], [0.347, 0.696, 0.724], [0.347, 0.804, 0.224], [0.422, 0.186, 0.192], [0.422, 0.314, 0.692], [0.454, 0.194, 0.517], [0.454, 0.306, 0.017], [0.462, 0.041, 0.728], [0.462, 0.459, 0.228], [0.538, 0.541, 0.772], [0.538, 0.959, 0.272], [0.546, 0.694, 0.983], [0.546, 0.806, 0.483], [0.578, 0.686, 0.308], [0.578, 0.814, 0.808], [0.653, 0.196, 0.776], [0.653, 0.304, 0.276], [0.715, 0.563, 0.518], [0.715, 0.937, 0.018], [0.729, 0.568, 0.155], [0.729, 0.932, 0.655], [0.771, 0.068, 0.155], [0.771, 0.432, 0.655], [0.785, 0.063, 0.518], [0.785, 0.437, 0.018], [0.847, 0.696, 0.776], [0.847, 0.804, 0.276], [0.922, 0.186, 0.308], [0.922, 0.314, 0.808], [0.954, 0.194, 0.983], [0.954, 0.306, 0.483], [0.962, 0.041, 0.772], [0.962, 0.459, 0.272]]}

# 6
{"formula": "ZnSi2WO6", "functional": "PBE+U", "state": "relaxed", "energy_ev_per_atom": -6.9398, "formation_energy_ev_per_atom": -2.3202, "space_group": "C2/c (15)", "rho_g_cm3": 5.4, "cell": [[5.018, -4.705, 0.000], [5.018, 4.705, 0.000], [-1.704, 0.000, 5.232]], "species": ["Zn", "Zn", "Si", "Si", "Si", "Si", "W", "W", "O", "O", "O", "O", "O", "O", "O", "O", "O", "O", "O", "O"], "fractional_positions": [[0.215, 0.785, 0.750], [0.785, 0.215, 0.250], [0.121, 0.287, 0.746], [0.287, 0.121, 0.246], [0.713, 0.879, 0.754], [0.879, 0.713, 0.254], [0.397, 0.603, 0.250], [0.603, 0.397, 0.750], [0.103, 0.625, 0.327], [0.138, 0.167, 0.981], [0.167, 0.138, 0.481], [0.303, 0.455, 0.846], [0.375, 0.897, 0.173], [0.455, 0.303, 0.346], [0.545, 0.697, 0.654], [0.625, 0.103, 0.827], [0.697, 0.545, 0.154], [0.833, 0.862, 0.519], [0.862, 0.833, 0.019], [0.897, 0.375, 0.673]]}